K7Mo12H31Pt2O59: relaxed, GGA+U.

Cell: 10.353 12.371 12.759 Å, 67.63 68.49 83.83°
Atoms (fractional coordinates):
1 K 0.000 0.000 0.000
2 K 0.063 0.419 0.368
3 K 0.133 0.844 0.723
4 K 0.313 0.515 0.996
5 K 0.466 0.064 0.029
6 K 0.666 0.784 0.689
7 K 0.801 0.327 0.741
8 Mo 0.043 0.196 0.200
9 Mo 0.085 0.644 0.527
10 Mo 0.192 0.735 0.221
11 Mo 0.328 0.558 0.661
12 Mo 0.359 0.191 0.544
13 Mo 0.458 0.280 0.237
14 Mo 0.536 0.744 0.054
15 Mo 0.591 0.096 0.673
16 Mo 0.671 0.561 0.484
17 Mo 0.766 0.647 0.186
18 Mo 0.801 0.280 0.067
19 Mo 0.936 0.106 0.507
20 H 0.021 0.607 0.006
21 H 0.039 0.529 0.933
22 H 0.085 0.308 0.795
23 H 0.100 0.234 0.719
24 H 0.209 0.792 0.969
25 H 0.253 0.250 0.918
26 H 0.274 0.003 0.314
27 H 0.277 0.445 0.514
28 H 0.306 0.832 0.345
29 H 0.307 0.896 0.862
30 H 0.334 0.202 0.818
31 H 0.370 0.947 0.394
32 H 0.378 0.528 0.236
33 H 0.480 0.829 0.505
34 H 0.482 0.369 0.633
35 H 0.486 0.956 0.509
36 H 0.563 0.404 0.364
37 H 0.567 0.514 0.791
38 H 0.643 0.883 0.216
39 H 0.646 0.472 0.096
40 H 0.647 0.010 0.221
41 H 0.650 0.502 0.873
42 H 0.751 0.314 0.491
43 H 0.756 0.895 0.332
44 H 0.789 0.633 0.912
45 H 0.819 0.009 0.381
46 H 0.821 0.943 0.865
47 H 0.853 0.397 0.212
48 H 0.854 0.838 0.410
49 H 0.882 0.589 0.810
50 H 0.918 0.048 0.759
51 Pt 0.436 0.634 0.359
52 Pt 0.694 0.208 0.367
53 O 0.037 0.220 0.345
54 O 0.041 0.242 0.795
55 O 0.049 0.991 0.516
56 O 0.078 0.599 0.929
57 O 0.079 0.849 0.211
58 O 0.090 0.620 0.383
59 O 0.146 0.319 0.090
60 O 0.152 0.078 0.206
61 O 0.168 0.662 0.135
62 O 0.191 0.668 0.620
63 O 0.211 0.864 0.899
64 O 0.226 0.433 0.768
65 O 0.247 0.074 0.650
66 O 0.255 0.316 0.534
67 O 0.273 0.748 0.361
68 O 0.284 0.528 0.509
69 O 0.297 0.180 0.906
70 O 0.353 0.953 0.320
71 O 0.357 0.407 0.229
72 O 0.359 0.175 0.394
73 O 0.366 0.825 0.108
74 O 0.383 0.612 0.230
75 O 0.390 0.615 0.741
76 O 0.424 0.223 0.145
77 O 0.424 0.895 0.518
78 O 0.449 0.218 0.645
79 O 0.483 0.971 0.769
80 O 0.486 0.658 0.488
81 O 0.494 0.689 0.962
82 O 0.496 0.451 0.622
83 O 0.538 0.321 0.371
84 O 0.547 0.098 0.513
85 O 0.581 0.745 0.213
86 O 0.588 0.458 0.860
87 O 0.593 0.525 0.356
88 O 0.632 0.150 0.766
89 O 0.632 0.389 0.105
90 O 0.641 0.184 0.240
91 O 0.645 0.868 0.956
92 O 0.676 0.620 0.084
93 O 0.696 0.617 0.582
94 O 0.703 0.944 0.210
95 O 0.741 0.217 0.991
96 O 0.745 0.229 0.498
97 O 0.762 0.016 0.618
98 O 0.772 0.432 0.497
99 O 0.775 0.889 0.406
100 O 0.777 0.669 0.331
101 O 0.806 0.641 0.828
102 O 0.846 0.313 0.217
103 O 0.852 0.093 0.366
104 O 0.872 0.523 0.192
105 O 0.876 0.765 0.079
106 O 0.902 0.405 0.957
107 O 0.917 0.975 0.827
108 O 0.938 0.171 0.108
109 O 0.960 0.178 0.593
110 O 0.976 0.761 0.524
111 O 0.983 0.521 0.637

## Properties
Formation enthalpy at 0 K: -1.67 eV per atom
Volume: 12.66 Å³ per atom
MP2020-corrected energy: -732.0 eV per cell
Space group: P1, No. 1
Crystal system: triclinic
Electronic total energy: -653.0 eV for the cell shown



Li9Mn2Co5O16: relaxed, GGA+U.

Cell: 5.006 5.177 11.285 Å, 82.18 86.55 79.19°
Atoms (fractional coordinates):
1 Li 0.000 0.000 0.000
2 Li 0.236 0.432 0.064
3 Li 0.236 0.690 0.816
4 Li 0.246 0.187 0.313
5 Li 0.253 0.938 0.563
6 Li 0.747 0.062 0.437
7 Li 0.754 0.813 0.687
8 Li 0.764 0.310 0.184
9 Li 0.764 0.568 0.936
10 Mn 0.498 0.883 0.122
11 Mn 0.502 0.117 0.878
12 Co 0.000 0.500 0.500
13 Co 0.001 0.762 0.244
14 Co 0.495 0.378 0.626
15 Co 0.505 0.622 0.374
16 Co 0.999 0.238 0.756
17 O 0.132 0.820 0.397
18 O 0.137 0.585 0.648
19 O 0.138 0.332 0.894
20 O 0.148 0.084 0.156
21 O 0.365 0.047 0.728
22 O 0.367 0.574 0.212
23 O 0.372 0.295 0.468
24 O 0.394 0.808 0.971
25 O 0.606 0.192 0.029
26 O 0.628 0.705 0.532
27 O 0.633 0.426 0.788
28 O 0.635 0.953 0.272
29 O 0.852 0.916 0.844
30 O 0.862 0.668 0.106
31 O 0.863 0.415 0.352
32 O 0.868 0.180 0.603

## Properties
Formation enthalpy at 0 K: -1.83 eV per atom
Volume: 8.89 Å³ per atom
MP2020-corrected energy: -208.9 eV per cell
Space group: P-1, No. 2
Relative energy among the computed polymorphs: 30 meV/atom
Crystal system: triclinic
Electronic total energy: -186.4 eV for the cell shown